[1]
{
  "formula": "KCoN",
  "functional": "PBE",
  "state": "optimized geometry",
  "lattice_angstrom": [[-0.9063, -3.1264, 1.2306], [2.6378, -2.7431, -5.0264], [8.9549, -0.6142, 5.0346]],
  "species": ["K", "K", "K", "K", "Co", "Co", "Co", "Co", "N", "N", "N", "N"],
  "fractional_positions": [[0.2500, 0.0776, 0.6645], [0.2500, 0.4224, 0.1645], [0.7500, 0.9224, 0.3355], [0.7500, 0.5776, 0.8355], [0.2500, 0.6004, 0.5435], [0.2500, 0.8996, 0.0435], [0.7500, 0.3996, 0.4565], [0.7500, 0.1004, 0.9565], [0.2500, 0.1526, 0.9358], [0.2500, 0.3474, 0.4358], [0.7500, 0.8474, 0.0642], [0.7500, 0.6526, 0.5642]]
}

---

[2]
{
  "formula": "Nd2Ga3Cu",
  "functional": "PBE",
  "state": "optimized geometry",
  "lattice_angstrom": [[2.2277, -3.8584, 0.0000], [2.2277, 3.8584, 0.0000], [0.0000, 0.0000, 7.6076]],
  "species": ["Nd", "Nd", "Ga", "Ga", "Ga", "Cu"],
  "fractional_positions": [[0.3333, 0.6667, 0.7321], [0.3333, 0.6667, 0.2616], [0.6667, 0.3333, 0.4821], [0.6667, 0.3333, 0.0423], [0.0000, 0.0000, 0.9546], [0.0000, 0.0000, 0.5273]]
}

---

[3]
{
  "formula": "CdNi",
  "functional": "PBE",
  "state": "optimized geometry",
  "lattice_angstrom": [[0.4397, 1.7680, 7.8891], [-6.7685, 1.3884, 4.2210], [-2.5160, -5.3817, 5.5013]],
  "species": ["Cd", "Cd", "Cd", "Cd", "Cd", "Cd", "Cd", "Cd", "Cd", "Cd", "Cd", "Cd", "Ni", "Ni", "Ni", "Ni", "Ni", "Ni", "Ni", "Ni", "Ni", "Ni", "Ni", "Ni"],
  "fractional_positions": [[0.8006, 0.8006, 0.1994], [0.1994, 0.1994, 0.8006], [0.8006, 0.1994, 0.8006], [0.1994, 0.8006, 0.1994], [0.1994, 0.8006, 0.8006], [0.8006, 0.1994, 0.1994], [0.4494, 0.4494, 0.0506], [0.0506, 0.0506, 0.4494], [0.4494, 0.0506, 0.4494], [0.0506, 0.4494, 0.0506], [0.0506, 0.4494, 0.4494], [0.4494, 0.0506, 0.0506], [0.1250, 0.6250, 0.6250], [0.6250, 0.1250, 0.6250], [0.6250, 0.6250, 0.1250], [0.6250, 0.6250, 0.6250], [0.7342, 0.4219, 0.4219], [0.4219, 0.7342, 0.4219], [0.4219, 0.4219, 0.7342], [0.4219, 0.4219, 0.4219], [0.5158, 0.8281, 0.8281], [0.8281, 0.5158, 0.8281], [0.8281, 0.8281, 0.5158], [0.8281, 0.8281, 0.8281]]
}

---

[4]
{
  "formula": "Eu2CuS3",
  "functional": "PBE",
  "state": "optimized geometry",
  "lattice_angstrom": [[3.9400, 0.0000, 0.0000], [0.0000, 10.6593, 0.0000], [0.0000, 0.0000, 12.6233]],
  "species": ["Eu", "Eu", "Eu", "Eu", "Eu", "Eu", "Eu", "Eu", "Cu", "Cu", "Cu", "Cu", "S", "S", "S", "S", "S", "S", "S", "S", "S", "S", "S", "S"],
  "fractional_positions": [[0.2500, 0.2832, 0.5013], [0.2500, 0.7832, 0.9987], [0.7500, 0.7168, 0.4987], [0.7500, 0.2168, 0.0013], [0.2500, 0.5168, 0.2368], [0.2500, 0.0168, 0.2632], [0.7500, 0.4832, 0.7632], [0.7500, 0.9832, 0.7368], [0.2500, 0.7326, 0.7239], [0.2500, 0.2326, 0.7761], [0.7500, 0.2674, 0.2761], [0.7500, 0.7674, 0.2239], [0.2500, 0.5575, 0.6120], [0.2500, 0.0575, 0.8880], [0.7500, 0.4425, 0.3880], [0.7500, 0.9425, 0.1120], [0.2500, 0.8904, 0.5991], [0.2500, 0.3904, 0.9009], [0.7500, 0.1096, 0.4009], [0.7500, 0.6096, 0.0991], [0.2500, 0.7605, 0.3290], [0.2500, 0.2605, 0.1710], [0.7500, 0.2395, 0.6710], [0.7500, 0.7395, 0.8290]]
}

---

[5]
{
  "formula": "Na2ZrZnSiS2O12",
  "functional": "PBE",
  "state": "optimized geometry",
  "lattice_angstrom": [[-8.5906, -1.6052, -2.2138], [3.5912, -3.9634, 7.2951], [-6.6910, 17.5611, 13.2310]],
  "species": ["Na", "Na", "Na", "Na", "Na", "Na", "Na", "Na", "Na", "Na", "Na", "Na", "Zr", "Zr", "Zr", "Zr", "Zr", "Zr", "Zn", "Zn", "Zn", "Zn", "Zn", "Zn", "Si", "Si", "Si", "Si", "Si", "Si", "S", "S", "S", "S", "S", "S", "S", "S", "S", "S", "S", "S", "O", "O", "O", "O", "O", "O", "O", "O", "O", "O", "O", "O", "O", "O", "O", "O", "O", "O", "O", "O", "O", "O", "O", "O", "O", "O", "O", "O", "O", "O", "O", "O", "O", "O", "O", "O", "O", "O", "O", "O", "O", "O", "O", "O", "O", "O", "O", "O", "O", "O", "O", "O", "O", "O", "O", "O", "O", "O", "O", "O", "O", "O", "O", "O", "O", "O", "O", "O", "O", "O", "O", "O"],
  "fractional_positions": [[0.9952, 0.6322, 0.2377], [0.6370, 0.6322, 0.7377], [0.6488, 0.9498, 0.5748], [0.3010, 0.9498, 0.0748], [0.6946, 0.0263, 0.9059], [0.3317, 0.0263, 0.4059], [0.9729, 0.9849, 0.4891], [0.0120, 0.9849, 0.9891], [0.6537, 0.3045, 0.8231], [0.6508, 0.3045, 0.3231], [0.3273, 0.6530, 0.1574], [0.3257, 0.6530, 0.6574], [0.9923, 0.9936, 0.6472], [0.0013, 0.9936, 0.1472], [0.6701, 0.3432, 0.9813], [0.6731, 0.3432, 0.4813], [0.3472, 0.6874, 0.3148], [0.3402, 0.6874, 0.8148], [0.9976, 0.0075, 0.3483], [0.0099, 0.0075, 0.8483], [0.6619, 0.3214, 0.6828], [0.6595, 0.3214, 0.1828], [0.2869, 0.6631, 0.0149], [0.3762, 0.6631, 0.5149], [0.3004, 0.0145, 0.2543], [0.7141, 0.0145, 0.7543], [0.6604, 0.6189, 0.5906], [0.9585, 0.6189, 0.0906], [0.3253, 0.9709, 0.9201], [0.6455, 0.9709, 0.4201], [0.7068, 0.7061, 0.2521], [0.0015, 0.2956, 0.2514], [0.2941, 0.2956, 0.7514], [0.9992, 0.7061, 0.7521], [0.9662, 0.3401, 0.5838], [0.3714, 0.0389, 0.5832], [0.6676, 0.0389, 0.0832], [0.3739, 0.3401, 0.0838], [0.6183, 0.6652, 0.9186], [0.0414, 0.3723, 0.9187], [0.3309, 0.3723, 0.4187], [0.0469, 0.6652, 0.4186], [0.2088, 0.0230, 0.3139], [0.8095, 0.7911, 0.3031], [0.9817, 0.1956, 0.3041], [0.2139, 0.1956, 0.8041], [0.9815, 0.7911, 0.8031], [0.8142, 0.0230, 0.8139], [0.8072, 0.9789, 0.6967], [0.1935, 0.2101, 0.6981], [0.0295, 0.8143, 0.6978], [0.7848, 0.8143, 0.1978], [0.0166, 0.2101, 0.1981], [0.1716, 0.9789, 0.1967], [0.8860, 0.3567, 0.6366], [0.4823, 0.1190, 0.6334], [0.6512, 0.5186, 0.6500], [0.8674, 0.5186, 0.1500], [0.6367, 0.1190, 0.1334], [0.4707, 0.3567, 0.1366], [0.4544, 0.3032, 0.0318], [0.8409, 0.5215, 0.0327], [0.6878, 0.1420, 0.0283], [0.4542, 0.1420, 0.5283], [0.6807, 0.5215, 0.5327], [0.8487, 0.3032, 0.5318], [0.5244, 0.6761, 0.9685], [0.1412, 0.4495, 0.9711], [0.3105, 0.8717, 0.9811], [0.5613, 0.8717, 0.4811], [0.3083, 0.4495, 0.4711], [0.1517, 0.6761, 0.4685], [0.1223, 0.6418, 0.3629], [0.5077, 0.8691, 0.3649], [0.3498, 0.4757, 0.3654], [0.1259, 0.4757, 0.8654], [0.3614, 0.8691, 0.8649], [0.5194, 0.6418, 0.8629], [0.0307, 0.8192, 0.4138], [0.8305, 0.9904, 0.4087], [0.1888, 0.1960, 0.4153], [0.0072, 0.1960, 0.9153], [0.1598, 0.9904, 0.9087], [0.7885, 0.8192, 0.9138], [0.9782, 0.1773, 0.5877], [0.2042, 0.0356, 0.5883], [0.8358, 0.8184, 0.5900], [0.9826, 0.8184, 0.0900], [0.8314, 0.0356, 0.0883], [0.1992, 0.1773, 0.0877], [0.6822, 0.1727, 0.7434], [0.4710, 0.3257, 0.7477], [0.8458, 0.5383, 0.7468], [0.6925, 0.5383, 0.2468], [0.8547, 0.3257, 0.2477], [0.4905, 0.1727, 0.2434], [0.6396, 0.5100, 0.9216], [0.8674, 0.3624, 0.9218], [0.5134, 0.1550, 0.9219], [0.6417, 0.1550, 0.4219], [0.4949, 0.3624, 0.4218], [0.8704, 0.5100, 0.4216], [0.3532, 0.4876, 0.0734], [0.1545, 0.6540, 0.0856], [0.5224, 0.8648, 0.0779], [0.3424, 0.8648, 0.5779], [0.4995, 0.6540, 0.5856], [0.1344, 0.4876, 0.5734], [0.3008, 0.8260, 0.2566], [0.5303, 0.6853, 0.2555], [0.1630, 0.4689, 0.2536], [0.3059, 0.4689, 0.7536], [0.1550, 0.6853, 0.7555], [0.5253, 0.8260, 0.7566]]
}

---

[6]
{
  "formula": "Pr2Ho",
  "functional": "PBE",
  "state": "optimized geometry",
  "lattice_angstrom": [[1.8257, -3.1622, 0.0000], [1.8257, 3.1622, 0.0000], [0.0000, 0.0000, 35.5901]],
  "species": ["Pr", "Pr", "Pr", "Pr", "Pr", "Pr", "Pr", "Pr", "Ho", "Ho", "Ho", "Ho"],
  "fractional_positions": [[0.3333, 0.6667, 0.6666], [0.3333, 0.6667, 0.3334], [0.0000, 0.0000, 0.9169], [0.0000, 0.0000, 0.5809], [0.0000, 0.0000, 0.2474], [0.0000, 0.0000, 0.0831], [0.0000, 0.0000, 0.7526], [0.0000, 0.0000, 0.4191], [0.6667, 0.3333, 0.8337], [0.6667, 0.3333, 0.5000], [0.6667, 0.3333, 0.1663], [0.3333, 0.6667, 0.0000]]
}

---

[7]
{
  "formula": "PuSb",
  "functional": "PBE",
  "state": "optimized geometry",
  "lattice_angstrom": [[-2.5813, -2.4215, -0.0352], [2.2010, -2.3242, -1.5104], [1.2108, -1.3465, 3.8365]],
  "species": ["Pu", "Sb"],
  "fractional_positions": [[0.0000, 0.0000, 0.0000], [0.5000, 0.5000, 0.5000]]
}

---

[8]
{
  "formula": "Ag2HgGeS4",
  "functional": "PBE",
  "state": "optimized geometry",
  "lattice_angstrom": [[-0.0068, 0.0000, -6.7120], [0.0000, -7.0212, 0.0000], [-8.1547, 0.0000, -0.0083]],
  "species": ["Ag", "Ag", "Ag", "Ag", "Hg", "Hg", "Ge", "Ge", "S", "S", "S", "S", "S", "S", "S", "S"],
  "fractional_positions": [[0.9732, 0.1882, 0.2453], [0.4732, 0.8118, 0.7453], [0.9548, 0.6527, 0.4999], [0.4548, 0.3473, 0.9999], [0.9716, 0.1888, 0.7551], [0.4716, 0.8112, 0.2551], [0.4575, 0.3177, 0.4997], [0.9575, 0.6823, 0.9997], [0.3377, 0.6185, 0.5031], [0.8377, 0.3815, 0.0031], [0.3507, 0.1690, 0.2698], [0.3548, 0.1664, 0.7302], [0.8548, 0.8336, 0.2302], [0.8507, 0.8310, 0.7698], [0.7938, 0.3215, 0.4968], [0.2938, 0.6785, 0.9968]]
}

---

| no. | E (Ry per atom) |
| --- | --- |
| 1 | -0.408 |
| 2 | -0.320 |
| 3 | -0.247 |
| 4 | -0.568 |
| 5 | -0.478 |
| 6 | -0.346 |
| 7 | -0.721 |
| 8 | -0.265 |